K3NaP2O11: relaxed, PBE.

Cell: 12.071 5.622 17.613 Å, 83.57 90.00 90.00°
Fractional coordinates of all 68 atoms:
O 0.886 0.513 0.733
O 0.562 0.767 0.644
O 0.062 0.233 0.856
O 0.114 0.487 0.267
O 0.938 0.767 0.144
O 0.840 0.105 0.535
O 0.040 0.898 0.290
O 0.231 0.771 0.340
O 0.269 0.771 0.840
O 0.334 0.446 0.948
O 0.614 0.513 0.233
O 0.438 0.233 0.356
O 0.152 0.682 0.956
O 0.160 0.895 0.465
O 0.407 0.763 0.078
O 0.208 0.857 0.199
O 0.708 0.143 0.301
O 0.792 0.143 0.801
O 0.172 0.230 0.151
O 0.292 0.857 0.699
O 0.517 0.160 0.397
O 0.672 0.770 0.349
O 0.731 0.229 0.160
O 0.666 0.554 0.052
O 0.960 0.102 0.710
O 0.593 0.237 0.922
O 0.348 0.682 0.456
O 0.328 0.230 0.651
O 0.166 0.446 0.448
O 0.848 0.318 0.044
O 0.386 0.487 0.767
O 0.983 0.160 0.897
O 0.834 0.554 0.552
O 0.540 0.102 0.210
O 0.340 0.895 0.965
O 0.460 0.898 0.790
O 0.483 0.840 0.603
O 0.652 0.318 0.544
O 0.907 0.237 0.422
O 0.828 0.770 0.849
O 0.017 0.840 0.103
O 0.769 0.229 0.660
O 0.660 0.105 0.035
O 0.093 0.763 0.578
P 0.640 0.248 0.231
P 0.274 0.685 0.934
P 0.860 0.248 0.731
P 0.360 0.752 0.769
P 0.774 0.315 0.566
P 0.726 0.315 0.066
P 0.226 0.685 0.434
P 0.140 0.752 0.269
Na 0.603 0.810 0.133
Na 0.103 0.190 0.367
Na 0.397 0.190 0.867
Na 0.897 0.810 0.633
K 0.549 0.260 0.701
K 0.403 0.259 0.094
K 0.837 0.827 0.993
K 0.597 0.741 0.906
K 0.097 0.259 0.594
K 0.663 0.827 0.493
K 0.049 0.740 0.799
K 0.903 0.741 0.406
K 0.163 0.173 0.007
K 0.337 0.173 0.507
K 0.451 0.740 0.299
K 0.951 0.260 0.201

Output
- crystal system = monoclinic
- V (Å³/cell) = 1187.74
- ρ (g/cm3) = 2.115
- total DFT energy (no corrections) (eV per atom) = -5.492

---

Ba2OsO4: relaxed, PBE.

Cell: 7.408 7.408 7.408 Å, 148.52 148.52 45.12°
Fractional coordinates of all 7 atoms:
Ba 0.353 0.353 0.000
Ba 0.647 0.647 0.000
O 0.000 0.500 0.500
O 0.846 0.846 0.000
O 0.154 0.154 0.000
O 0.500 0.000 0.500
Os 0.000 0.000 0.000

Output
- crystal system = tetragonal
- V (Å³/cell) = 110.53
- ρ (g/cm3) = 7.946
- total DFT energy (no corrections) (eV per atom) = -6.932

---

DFT formation energy / meV per atom: -1484 -2345